Here is a relaxed TeWS crystal from the Materials Project database. Energies are from GGA-PBE.

Output
E (MP2020): -7.280 eV per atom
ΔE_f: -0.534 eV/atom
total magnetic moment: 0.0 Bohr magnetons per cell

```
data_TeWS
_chemical_formula_sum 'Te4 W4 S4'
_symmetry_space_group_name_H-M 'P 3 m 1'
_symmetry_Int_Tables_number 156
_cell_length_a 3.3598
_cell_length_b 3.3598
_cell_length_c 39.3892
_cell_angle_alpha 90.00
_cell_angle_beta 90.00
_cell_angle_gamma 120.00
loop_
_symmetry_equiv_pos_as_xyz
'x,y,z'
'-y,x-y,z'
'-x+y,-x,z'
'-y,-x,z'
'-x+y,y,z'
'x,x-y,z'
loop_
_atom_site_label
_atom_site_type_symbol
_atom_site_fract_x
_atom_site_fract_y
_atom_site_fract_z
Te1 Te 0.0000 0.0000 0.0000
Te2 Te 0.0000 0.0000 0.0965
Te3 Te 0.3333 0.6667 0.8098
Te4 Te 0.3333 0.6667 0.9062
W1 W 0.0000 0.0000 0.4833
W2 W 0.0000 0.0000 0.8579
W3 W 0.3333 0.6667 0.0482
W4 W 0.3333 0.6667 0.6711
S1 S 0.0000 0.0000 0.6325
S2 S 0.0000 0.0000 0.7096
S3 S 0.3333 0.6667 0.4448
S4 S 0.3333 0.6667 0.5219
```